The following is a PBE calculation of a relaxed Sb2Au3F18 crystal, from Materials Project.

- space group = P2_1/c, No. 14

Cell lengths 8.698, 9.451, 10.387 Å; angles 59.58, 90.00, 90.00 degrees
Sites, in units of the cell vectors:
1 Sb 0.876 0.141 0.716
2 Sb 0.376 0.859 0.784
3 Sb 0.124 0.859 0.284
4 Sb 0.624 0.141 0.216
5 Au 0.500 0.500 0.500
6 Au 0.000 0.500 0.000
7 Au 0.168 0.339 0.367
8 Au 0.668 0.661 0.133
9 Au 0.832 0.661 0.633
10 Au 0.332 0.339 0.867
11 F 0.052 0.063 0.838
12 F 0.552 0.937 0.662
13 F 0.948 0.937 0.162
14 F 0.448 0.063 0.338
15 F 0.897 0.979 0.660
16 F 0.397 0.021 0.840
17 F 0.209 0.408 0.692
18 F 0.709 0.592 0.808
19 F 0.791 0.592 0.308
20 F 0.291 0.408 0.192
21 F 0.513 0.360 0.740
22 F 0.013 0.640 0.760
23 F 0.487 0.640 0.260
24 F 0.987 0.360 0.240
25 F 0.145 0.321 0.988
26 F 0.645 0.679 0.512
27 F 0.855 0.679 0.012
28 F 0.355 0.321 0.488
29 F 0.103 0.021 0.340
30 F 0.603 0.979 0.160
31 F 0.720 0.250 0.567
32 F 0.220 0.750 0.933
33 F 0.471 0.286 0.044
34 F 0.971 0.714 0.456
35 F 0.529 0.714 0.956
36 F 0.029 0.286 0.544
37 F 0.765 0.020 0.373
38 F 0.265 0.980 0.127
39 F 0.235 0.980 0.627
40 F 0.735 0.020 0.873
41 F 0.628 0.328 0.242
42 F 0.128 0.672 0.258
43 F 0.372 0.672 0.758
44 F 0.872 0.328 0.742
45 F 0.780 0.250 0.067
46 F 0.280 0.750 0.433

---

The following is a PBE calculation of a relaxed K2NaAsCl6 crystal, from Materials Project.

- space group = Fm-3m, No. 225

Cell lengths 7.411, 7.411, 7.411 Å; angles 60.00, 60.00, 60.00 degrees
Sites, in units of the cell vectors:
1 K 0.750 0.750 0.750
2 K 0.250 0.250 0.250
3 Na 0.500 0.500 0.500
4 As 0.000 0.000 0.000
5 Cl 0.761 0.239 0.239
6 Cl 0.239 0.239 0.761
7 Cl 0.239 0.761 0.761
8 Cl 0.239 0.761 0.239
9 Cl 0.761 0.239 0.761
10 Cl 0.761 0.761 0.239

---

The following is a PBE calculation of a relaxed TiSb4Mo crystal, from Materials Project.

- space group = Cm, No. 8

Cell lengths 3.638, 5.444, 7.469 Å; angles 87.61, 75.90, 109.52 degrees
Sites, in units of the cell vectors:
1 Ti 0.039 0.887 0.810
2 Sb 0.614 0.763 0.536
3 Sb 0.388 0.236 0.459
4 Sb 0.704 0.301 0.893
5 Sb 0.294 0.700 0.112
6 Mo 0.961 0.113 0.190

---

The following is a PBE calculation of a relaxed Cs5Nb2S4Br9 crystal, from Materials Project.

- space group = Immm, No. 71

Cell lengths 10.889, 10.889, 10.889 Å; angles 138.49, 117.88, 77.50 degrees
Sites, in units of the cell vectors:
1 Cs 0.437 0.661 0.777
2 Cs 0.884 0.661 0.223
3 Cs 0.500 0.000 0.500
4 Cs 0.563 0.339 0.223
5 Cs 0.116 0.339 0.777
6 Nb 0.087 0.087 0.000
7 Nb 0.913 0.913 0.000
8 S 0.090 0.770 0.860
9 S 0.910 0.770 0.681
10 S 0.910 0.230 0.140
11 S 0.090 0.230 0.319
12 Br 0.204 0.444 0.240
13 Br 0.117 0.873 0.244
14 Br 0.371 0.127 0.244
15 Br 0.204 0.964 0.760
16 Br 0.796 0.036 0.240
17 Br 0.629 0.873 0.756
18 Br 0.796 0.556 0.760
19 Br 0.500 0.500 0.000
20 Br 0.883 0.127 0.756

---

The following is a PBE calculation of a relaxed LuAlO3 crystal, from Materials Project.

- space group = Cmcm, No. 63

Cell lengths 6.480, 6.480, 10.246 Å; angles 90.00, 90.00, 120.22 degrees
Sites, in units of the cell vectors:
1 Lu 0.831 0.169 0.500
2 Lu 0.831 0.169 0.000
3 Lu 0.169 0.831 0.500
4 Lu 0.169 0.831 0.000
5 Lu 0.500 0.500 0.000
6 Lu 0.500 0.500 0.500
7 Al 0.556 0.834 0.250
8 Al 0.166 0.444 0.750
9 Al 0.834 0.556 0.250
10 Al 0.444 0.166 0.750
11 Al 0.882 0.882 0.750
12 Al 0.118 0.118 0.250
13 O 0.893 0.163 0.750
14 O 0.837 0.107 0.250
15 O 0.479 0.834 0.086
16 O 0.479 0.834 0.414
17 O 0.166 0.521 0.586
18 O 0.166 0.521 0.914
19 O 0.834 0.479 0.086
20 O 0.834 0.479 0.414
21 O 0.521 0.166 0.586
22 O 0.521 0.166 0.914
23 O 0.107 0.837 0.250
24 O 0.163 0.893 0.750
25 O 0.442 0.442 0.750
26 O 0.815 0.815 0.581
27 O 0.815 0.815 0.919
28 O 0.185 0.185 0.081
29 O 0.185 0.185 0.419
30 O 0.558 0.558 0.250

---

The following is a PBE calculation of a relaxed SrGa2O4 crystal, from Materials Project.

- space group = P2_1/c, No. 14

Cell lengths 9.111, 8.487, 10.828 Å; angles 85.96, 90.00, 90.00 degrees
Sites, in units of the cell vectors:
1 Sr 0.713 0.502 0.131
2 Sr 0.213 0.498 0.369
3 Sr 0.287 0.498 0.869
4 Sr 0.787 0.502 0.631
5 Sr 0.740 0.035 0.149
6 Sr 0.240 0.965 0.351
7 Sr 0.260 0.965 0.851
8 Sr 0.760 0.035 0.649
9 Ga 0.558 0.678 0.361
10 Ga 0.058 0.322 0.139
11 Ga 0.442 0.322 0.639
12 Ga 0.942 0.678 0.861
13 Ga 0.905 0.196 0.389
14 Ga 0.405 0.804 0.111
15 Ga 0.095 0.804 0.611
16 Ga 0.595 0.196 0.889
17 Ga 0.893 0.795 0.380
18 Ga 0.393 0.205 0.120
19 Ga 0.107 0.205 0.620
20 Ga 0.607 0.795 0.880
21 Ga 0.064 0.720 0.130
22 Ga 0.564 0.280 0.370
23 Ga 0.936 0.280 0.870
24 Ga 0.436 0.720 0.630
25 O 0.745 0.653 0.426
26 O 0.245 0.347 0.074
27 O 0.255 0.347 0.574
28 O 0.755 0.653 0.926
29 O 0.579 0.783 0.202
30 O 0.079 0.217 0.298
31 O 0.421 0.217 0.798
32 O 0.921 0.783 0.702
33 O 0.066 0.718 0.459
34 O 0.566 0.282 0.041
35 O 0.934 0.282 0.541
36 O 0.434 0.718 0.959
37 O 0.748 0.272 0.292
38 O 0.248 0.728 0.208
39 O 0.252 0.728 0.708
40 O 0.752 0.272 0.792
41 O 0.939 0.850 0.214
42 O 0.439 0.150 0.286
43 O 0.061 0.150 0.786
44 O 0.561 0.850 0.714
45 O 0.489 0.480 0.321
46 O 0.989 0.520 0.179
47 O 0.511 0.520 0.679
48 O 0.011 0.480 0.821
49 O 0.661 0.990 0.934
50 O 0.161 0.010 0.566
51 O 0.339 0.010 0.066
52 O 0.839 0.990 0.434
53 O 0.416 0.761 0.461
54 O 0.916 0.239 0.039
55 O 0.584 0.239 0.539
56 O 0.084 0.761 0.961

---

The following is a PBE calculation of a relaxed Mn3NiP2 crystal, from Materials Project.

- space group = Pmc2_1, No. 26

Cell lengths 3.471, 5.881, 6.811 Å; angles 90.00, 90.00, 90.00 degrees
Sites, in units of the cell vectors:
1 Mn 0.250 0.639 0.939
2 Mn 0.250 0.139 0.561
3 Mn 0.750 0.470 0.663
4 Mn 0.750 0.970 0.837
5 Mn 0.250 0.534 0.332
6 Mn 0.250 0.034 0.168
7 Ni 0.750 0.353 0.068
8 Ni 0.750 0.853 0.432
9 P 0.750 0.738 0.123
10 P 0.750 0.238 0.377
11 P 0.250 0.266 0.867
12 P 0.250 0.766 0.633

---

The following is a PBE calculation of a relaxed YSi3 crystal, from Materials Project.

- space group = I4/mmm, No. 139

Cell lengths 7.457, 7.457, 7.457 Å; angles 121.97, 121.97, 86.62 degrees
Sites, in units of the cell vectors:
1 Y 0.829 0.829 0.000
2 Y 0.171 0.171 0.000
3 Y 0.250 0.750 0.500
4 Y 0.750 0.250 0.500
5 Si 0.328 0.000 0.328
6 Si 0.672 0.000 0.672
7 Si 0.000 0.672 0.672
8 Si 0.000 0.328 0.328
9 Si 0.202 0.202 0.627
10 Si 0.574 0.574 0.373
11 Si 0.202 0.574 0.000
12 Si 0.574 0.202 0.000
13 Si 0.798 0.798 0.373
14 Si 0.426 0.426 0.627
15 Si 0.798 0.426 0.000
16 Si 0.426 0.798 0.000

---

Calculated total energy (eV/f.u.), listed in the same order as above: -89.504, -33.238, -36.461, -82.587, -39.584, -43.266, -47.320, -24.153